(1)
Below is a relaxed V5Pb2O12 crystal, with properties calculated at the PBE+U level.

a b c (Å): 5.383 8.379 11.925
angles (deg): 81.27 90.00 90.00
Element x y z (fractional)
O 0.413 0.000 0.250
O 0.422 0.827 0.992
O 0.036 0.365 0.970
O 0.023 0.061 0.895
O 0.587 0.000 0.750
O 0.964 0.635 0.030
O 0.977 0.939 0.105
O 0.939 0.500 0.250
O 0.061 0.500 0.750
O 0.409 0.546 0.363
O 0.023 0.939 0.605
O 0.989 0.213 0.170
O 0.409 0.454 0.137
O 0.591 0.546 0.863
O 0.578 0.173 0.008
O 0.591 0.454 0.637
O 0.422 0.173 0.508
O 0.964 0.365 0.470
O 0.989 0.787 0.330
O 0.011 0.787 0.830
O 0.578 0.827 0.492
O 0.011 0.213 0.670
O 0.036 0.635 0.530
O 0.977 0.061 0.395
Pb 0.647 0.721 0.177
Pb 0.353 0.721 0.677
Pb 0.353 0.279 0.823
Pb 0.647 0.279 0.323
V 0.880 0.846 0.476
V 0.120 0.846 0.976
V 0.108 0.000 0.250
V 0.120 0.154 0.524
V 0.895 0.564 0.882
V 0.105 0.564 0.382
V 0.105 0.436 0.118
V 0.892 0.000 0.750
V 0.880 0.154 0.024
V 0.895 0.436 0.618

Properties
total DFT energy (no corrections)	-7.32	eV per atom
formation energy from the elements	-2.295	eV/atom

=====

(2)
Below is a relaxed KNa7V7MoO24 crystal, with properties calculated at the PBE+U level.

a b c (Å): 7.611 7.611 7.611
angles (deg): 89.98 89.98 89.98
Element x y z (fractional)
Na 0.255 0.745 0.745
Na 0.745 0.745 0.255
Na 0.255 0.255 0.745
Na 0.745 0.745 0.745
Na 0.745 0.255 0.255
Na 0.255 0.745 0.255
Na 0.745 0.255 0.745
O 0.999 0.999 0.748
O 0.750 0.998 0.501
O 0.501 0.501 0.750
O 0.501 0.750 0.501
O 0.504 0.250 0.504
O 0.249 0.503 0.997
O 0.997 0.997 0.252
O 0.250 0.504 0.504
O 0.748 0.999 0.999
O 0.501 0.750 0.998
O 0.750 0.501 0.998
O 0.999 0.748 0.999
O 0.997 0.249 0.503
O 0.501 0.998 0.750
O 0.997 0.503 0.249
O 0.997 0.252 0.997
O 0.252 0.997 0.997
O 0.998 0.501 0.750
O 0.503 0.997 0.249
O 0.750 0.501 0.501
O 0.998 0.750 0.501
O 0.249 0.997 0.503
O 0.504 0.504 0.250
O 0.503 0.249 0.997
V 0.502 0.502 0.999
V 0.999 0.502 0.502
V 0.502 0.502 0.502
V 0.501 0.999 0.999
V 0.502 0.999 0.502
V 0.999 0.501 0.999
V 0.999 0.999 0.501
K 0.254 0.254 0.254
Mo 0.999 0.999 0.999

Properties
magnetic moment	0.08	μB/f.u.
total DFT energy (no corrections)	-6.52	eV per atom
formation energy from the elements	-2.219	eV/atom

=====

(3)
Below is a relaxed Li8Mn3Fe5B8O24 crystal, with properties calculated at the PBE+U level.

a b c (Å): 5.229 5.230 20.763
angles (deg): 89.11 90.94 60.26
Element x y z (fractional)
B 0.660 0.997 0.687
B 0.001 0.343 0.936
B 0.994 0.669 0.561
B 0.332 0.007 0.313
B 0.659 0.997 0.188
B 0.995 0.666 0.062
B 0.335 0.003 0.812
B 0.002 0.339 0.437
Li 0.652 0.336 0.292
Li 0.664 0.347 0.541
Li 0.321 0.653 0.666
Li 0.321 0.651 0.166
Li 0.651 0.339 0.791
Li 0.347 0.679 0.417
Li 0.662 0.347 0.041
Li 0.350 0.676 0.916
O 0.354 0.732 0.819
O 0.423 0.964 0.666
O 0.584 0.031 0.827
O 0.969 0.420 0.576
O 0.072 0.254 0.792
O 0.933 0.748 0.702
O 0.628 0.274 0.694
O 0.271 0.638 0.069
O 0.068 0.254 0.293
O 0.024 0.584 0.417
O 0.747 0.933 0.542
O 0.423 0.964 0.167
O 0.727 0.363 0.443
O 0.257 0.074 0.951
O 0.959 0.424 0.077
O 0.581 0.030 0.328
O 0.257 0.071 0.452
O 0.268 0.648 0.568
O 0.627 0.274 0.195
O 0.932 0.748 0.203
O 0.352 0.733 0.319
O 0.729 0.365 0.943
O 0.754 0.933 0.041
O 0.027 0.587 0.917
Fe 0.002 0.675 0.309
Fe 0.678 0.994 0.933
Fe 0.988 0.673 0.809
Fe 0.328 0.998 0.558
Fe 0.683 0.998 0.433
Mn 0.999 0.323 0.683
Mn 0.331 0.003 0.058
Mn 0.997 0.325 0.184

Properties
polymorph energy (0 for the lowest one)	11.4	meV/atom
magnetic moment	35.00	μB/f.u.
total DFT energy (no corrections)	-7.06	eV per atom
formation energy from the elements	-2.386	eV/atom

=====

(4)
Below is a relaxed K2RbTmV2O8 crystal, with properties calculated at the PBE+U level.

a b c (Å): 5.972 5.972 7.812
angles (deg): 90.00 90.00 120.00
Element x y z (fractional)
Rb 0.000 0.000 0.000
Tm 0.000 0.000 0.500
K 0.333 0.667 0.703
K 0.667 0.333 0.297
V 0.667 0.333 0.746
V 0.333 0.667 0.254
O 0.173 0.345 0.330
O 0.333 0.667 0.038
O 0.827 0.655 0.670
O 0.655 0.827 0.330
O 0.345 0.173 0.670
O 0.667 0.333 0.962
O 0.827 0.173 0.670
O 0.173 0.827 0.330

Properties
magnetic moment	0.00	μB/f.u.
total DFT energy (no corrections)	-6.79	eV per atom
formation energy from the elements	-2.749	eV/atom

=====

(5)
Below is a relaxed V3P4O16 crystal, with properties calculated at the PBE+U level.

a b c (Å): 10.072 10.072 10.919
angles (deg): 87.98 87.98 37.18
Element x y z (fractional)
O 0.766 0.722 0.641
O 0.397 0.406 0.887
O 0.980 0.334 0.231
O 0.234 0.278 0.359
O 0.406 0.397 0.387
O 0.553 0.633 0.885
O 0.278 0.234 0.859
O 0.633 0.553 0.385
O 0.948 0.363 0.508
O 0.051 0.635 0.228
O 0.305 0.213 0.143
O 0.603 0.594 0.113
O 0.787 0.695 0.357
O 0.594 0.603 0.613
O 0.365 0.949 0.272
O 0.949 0.365 0.772
O 0.334 0.980 0.731
O 0.635 0.051 0.728
O 0.637 0.052 0.992
O 0.722 0.766 0.141
O 0.666 0.020 0.269
O 0.020 0.666 0.769
O 0.367 0.447 0.615
O 0.204 0.761 0.474
O 0.695 0.787 0.857
O 0.363 0.948 0.008
O 0.052 0.637 0.492
O 0.761 0.204 0.974
O 0.239 0.796 0.026
O 0.447 0.367 0.115
O 0.796 0.239 0.526
O 0.213 0.305 0.643
V 0.366 0.332 0.248
V 0.332 0.366 0.748
V 0.668 0.634 0.252
V 0.634 0.668 0.752
V 0.500 0.000 0.000
V 0.000 0.500 0.500
P 0.745 0.422 0.512
P 0.187 0.216 0.752
P 0.255 0.578 0.488
P 0.422 0.745 0.012
P 0.813 0.784 0.248
P 0.216 0.187 0.252
P 0.578 0.255 0.988
P 0.784 0.813 0.748

Properties
polymorph energy (0 for the lowest one)	77.1	meV/atom
magnetic moment	3.00	μB/f.u.
total DFT energy (no corrections)	-7.39	eV per atom
formation energy from the elements	-2.519	eV/atom

=====

(6)
Below is a relaxed Li8Mn5Fe3B8O24 crystal, with properties calculated at the PBE+U level.

a b c (Å): 5.246 6.050 16.187
angles (deg): 82.09 89.01 89.01
Element x y z (fractional)
Fe 0.331 0.225 0.462
Fe 0.160 0.025 0.791
Fe 0.841 0.974 0.209
O 0.090 0.764 0.061
O 0.286 0.833 0.509
O 0.318 0.081 0.903
O 0.910 0.236 0.938
O 0.787 0.582 0.259
O 0.207 0.924 0.241
O 0.179 0.673 0.843
O 0.821 0.327 0.157
O 0.590 0.013 0.308
O 0.682 0.919 0.096
O 0.088 0.263 0.558
O 0.911 0.736 0.438
O 0.412 0.486 0.189
O 0.588 0.515 0.812
O 0.412 0.987 0.692
O 0.682 0.418 0.595
O 0.712 0.670 0.992
O 0.793 0.078 0.760
O 0.288 0.331 0.008
O 0.818 0.831 0.655
O 0.186 0.169 0.346
O 0.321 0.579 0.407
O 0.215 0.418 0.741
O 0.706 0.170 0.490
B 0.331 0.037 0.298
B 0.670 0.963 0.703
B 0.830 0.785 0.049
B 0.671 0.463 0.203
B 0.329 0.537 0.797
B 0.169 0.215 0.951
B 0.827 0.286 0.547
B 0.171 0.715 0.452
Mn 0.666 0.775 0.539
Mn 0.167 0.521 0.291
Mn 0.668 0.273 0.041
Mn 0.332 0.727 0.959
Mn 0.834 0.477 0.711
Li 0.849 0.564 0.891
Li 0.349 0.812 0.141
Li 0.850 0.063 0.389
Li 0.349 0.311 0.641
Li 0.651 0.688 0.358
Li 0.650 0.188 0.859
Li 0.152 0.936 0.610
Li 0.151 0.436 0.109

Properties
polymorph energy (0 for the lowest one)	2.1	meV/atom
magnetic moment	37.00	μB/f.u.
total DFT energy (no corrections)	-7.17	eV per atom
formation energy from the elements	-2.439	eV/atom

=====

(7)
Below is a relaxed NdFeC6N6O4 crystal, with properties calculated at the PBE+U level.

a b c (Å): 8.026 8.026 13.831
angles (deg): 90.00 90.00 119.88
Element x y z (fractional)
C 0.757 0.857 0.904
C 0.860 0.140 0.428
C 0.857 0.757 0.404
C 0.243 0.143 0.404
C 0.143 0.243 0.596
C 0.243 0.143 0.096
C 0.857 0.757 0.096
C 0.757 0.857 0.596
C 0.140 0.860 0.572
C 0.143 0.243 0.904
C 0.140 0.860 0.928
C 0.860 0.140 0.072
N 0.215 0.381 0.644
N 0.785 0.619 0.356
N 0.619 0.785 0.856
N 0.785 0.619 0.144
N 0.210 0.790 0.619
N 0.215 0.381 0.856
N 0.619 0.785 0.644
N 0.210 0.790 0.881
N 0.790 0.210 0.381
N 0.790 0.210 0.119
N 0.381 0.215 0.356
N 0.381 0.215 0.144
O 0.428 0.825 0.250
O 0.328 0.672 0.176
O 0.328 0.672 0.324
O 0.672 0.328 0.676
O 0.672 0.328 0.824
O 0.825 0.428 0.750
O 0.175 0.572 0.250
O 0.572 0.175 0.750
Fe 0.000 0.000 0.500
Fe 0.000 0.000 0.000
Nd 0.336 0.664 0.750
Nd 0.664 0.336 0.250

Properties
magnetic moment	5.00	μB/f.u.
total DFT energy (no corrections)	-7.18	eV per atom
formation energy from the elements	0.281	eV/atom

=====

(8)
Below is a relaxed KV5NiO22 crystal, with properties calculated at the PBE+U level.

a b c (Å): 9.821 10.884 10.978
angles (deg): 65.67 68.69 75.15
Element x y z (fractional)
O 0.447 0.153 0.660
O 0.751 0.691 0.070
O 0.928 0.277 0.282
O 0.274 0.559 0.324
O 0.706 0.197 0.655
O 0.204 0.341 0.677
O 0.070 0.597 0.705
O 0.606 0.359 0.280
O 0.511 0.882 0.098
O 0.719 0.689 0.830
O 0.998 0.609 0.627
O 0.924 0.286 0.032
O 0.719 0.939 0.858
O 0.072 0.723 0.718
O 0.738 0.060 0.304
O 0.294 0.803 0.345
O 0.534 0.626 0.306
O 0.249 0.309 0.930
O 0.726 0.441 0.676
O 0.553 0.847 0.340
O 0.158 0.032 0.689
O 0.741 0.173 0.889
O 0.509 0.346 0.928
O 0.796 0.659 0.323
O 0.489 0.118 0.902
O 0.693 0.976 0.596
O 0.466 0.374 0.694
O 0.842 0.968 0.311
O 0.513 0.096 0.133
O 0.281 0.061 0.142
O 0.491 0.654 0.072
O 0.393 0.647 0.836
O 0.259 0.827 0.111
O 0.281 0.311 0.170
O 0.394 0.641 0.720
O 0.930 0.403 0.295
O 0.262 0.940 0.696
O 0.487 0.904 0.867
O 0.607 0.353 0.164
O 0.002 0.391 0.373
O 0.763 0.913 0.102
O 0.307 0.024 0.404
O 0.076 0.714 0.968
O 0.237 0.087 0.898
V 0.628 0.315 0.759
V 0.340 0.976 0.008
V 0.640 0.756 0.952
V 0.372 0.685 0.241
V 0.360 0.244 0.048
V 0.678 0.738 0.234
V 0.322 0.262 0.766
V 0.613 0.052 0.709
V 0.387 0.948 0.291
V 0.660 0.024 0.992
K 0.277 0.279 0.435
K 0.723 0.721 0.565
Ni 0.803 0.312 0.174
Ni 0.197 0.688 0.826

Properties
polymorph energy (0 for the lowest one)	169.7	meV/atom
magnetic moment	6.00	μB/f.u.
total DFT energy (no corrections)	-6.22	eV per atom
formation energy from the elements	-1.041	eV/atom

=====

(9)
Below is a relaxed SrTbEuFeO6 crystal, with properties calculated at the PBE+U level.

a b c (Å): 5.790 5.790 5.790
angles (deg): 60.00 60.00 60.00
Element x y z (fractional)
Fe 0.000 0.000 0.000
O 0.233 0.767 0.233
O 0.233 0.233 0.767
O 0.767 0.233 0.767
O 0.767 0.767 0.233
O 0.767 0.233 0.233
O 0.233 0.767 0.767
Sr 0.750 0.750 0.750
Tb 0.500 0.500 0.500
Eu 0.250 0.250 0.250

Properties
magnetic moment	10.00	μB/f.u.
total DFT energy (no corrections)	-7.55	eV per atom
formation energy from the elements	-2.717	eV/atom

=====

(10)
Below is a relaxed LiMnF4 crystal, with properties calculated at the PBE+U level.

a b c (Å): 4.981 7.523 7.642
angles (deg): 77.09 90.00 90.00
Element x y z (fractional)
F 0.429 0.694 0.909
F 0.929 0.806 0.091
F 0.945 0.297 0.559
F 0.055 0.703 0.441
F 0.056 0.414 0.198
F 0.556 0.086 0.802
F 0.914 0.067 0.311
F 0.555 0.797 0.559
F 0.071 0.194 0.909
F 0.944 0.586 0.802
F 0.414 0.433 0.689
F 0.444 0.914 0.198
F 0.586 0.567 0.311
F 0.086 0.933 0.689
F 0.445 0.203 0.441
F 0.571 0.306 0.091
Li 0.741 0.338 0.858
Li 0.241 0.162 0.142
Li 0.259 0.662 0.142
Li 0.759 0.838 0.858
Mn 0.750 0.318 0.316
Mn 0.250 0.182 0.684
Mn 0.250 0.682 0.684
Mn 0.750 0.818 0.316

Properties
magnetic moment	1.50	μB/f.u.
total DFT energy (no corrections)	-5.32	eV per atom
formation energy from the elements	-2.783	eV/atom